[1]
! PBE-GGA AlZnH16NO6F6, optimized geometry; values from VASP
&SYSTEM
  ibrav = 0, nat = 124, ntyp = 6
/
ATOMIC_SPECIES
Al 26.98 Al.upf
Zn 65.41 Zn.upf
H 1.01 H.upf
N 14.01 N.upf
O 16.00 O.upf
F 19.00 F.upf
ATOMIC_POSITIONS angstrom
Al 0.000 0.000 0.000
Al -0.612 3.301 6.427
Al 6.367 0.000 0.000
Al 5.756 3.301 6.427
Zn 2.092 0.183 8.921
Zn 2.704 3.118 2.495
Zn 8.808 3.483 10.359
Zn 9.419 6.419 3.932
H -0.426 0.685 8.089
H 0.185 2.615 1.662
H 0.337 4.195 1.535
H -0.275 5.706 7.962
H 1.256 1.428 3.959
H 0.644 1.873 10.386
H 1.604 0.633 2.601
H 0.993 2.668 9.028
H 1.534 4.163 4.684
H 0.922 5.739 11.111
H 1.567 1.282 6.500
H 2.179 2.018 0.073
H 2.200 4.399 7.863
H 2.812 5.503 1.436
H 2.973 3.582 5.107
H 2.361 6.320 11.534
H 3.637 1.553 0.424
H 3.025 1.748 6.850
H 3.586 0.158 4.033
H 2.974 3.142 10.460
H 3.491 0.008 5.686
H 2.880 3.292 12.113
H 3.737 4.925 7.829
H 4.349 4.976 1.402
H 3.873 4.358 11.230
H 4.485 5.544 4.803
H 4.918 0.578 5.013
H 4.306 2.723 11.440
H 4.617 1.446 8.869
H 5.229 1.854 2.442
H 4.524 0.342 10.049
H 5.136 2.958 3.623
H 6.376 3.643 9.231
H 6.987 6.259 2.804
H 6.282 4.747 10.412
H 6.894 5.155 3.985
H 7.205 3.878 1.414
H 6.593 6.023 7.840
H 7.026 1.057 8.050
H 7.638 2.243 1.623
H 7.162 1.625 11.452
H 7.774 1.676 5.025
H 8.632 3.309 0.740
H 8.020 6.593 7.167
H 8.537 3.459 2.394
H 7.925 6.443 8.820
H 8.486 4.853 6.003
H 7.874 5.048 12.430
H 9.150 0.281 1.319
H 8.539 3.019 7.746
H 8.699 1.098 11.417
H 9.311 2.202 4.990
H 9.332 4.583 12.780
H 9.944 5.319 6.353
H 10.589 0.862 1.743
H 9.977 2.438 8.170
H 10.518 3.933 3.825
H 9.907 5.968 10.252
H 10.867 4.728 2.468
H 10.255 5.173 8.895
H 11.786 0.895 4.891
H 11.174 2.406 11.318
H 11.326 3.986 11.191
H 11.937 5.916 4.764
N 3.520 3.391 11.300
N 4.132 6.510 4.874
N 7.379 0.091 7.980
N 7.991 3.210 1.553
O 0.692 3.400 2.000
O 0.081 6.501 8.427
O 1.977 1.206 3.324
O 1.365 2.095 9.751
O 2.471 4.019 4.373
O 1.859 5.882 10.800
O 2.406 0.971 6.941
O 3.018 2.330 0.514
O 2.884 4.939 8.335
O 3.496 4.962 1.908
O 4.003 0.911 9.427
O 4.615 2.390 3.000
O 6.896 4.211 9.853
O 7.508 5.690 3.427
O 8.016 1.639 10.945
O 8.627 1.662 4.518
O 8.494 4.271 12.339
O 9.105 5.630 5.912
O 9.652 0.719 2.054
O 9.041 2.582 8.481
O 10.146 4.506 3.103
O 9.534 5.396 9.529
O 11.431 0.100 4.426
O 10.819 3.201 10.853
F 0.059 4.563 5.286
F -0.552 5.339 11.712
F -0.272 1.339 11.981
F 0.340 1.962 5.554
F 0.793 3.558 7.584
F 1.405 6.344 1.157
F 3.367 0.385 12.680
F 3.979 2.915 6.254
F 5.319 4.919 7.167
F 5.931 4.982 0.740
F 5.747 4.081 4.735
F 5.136 5.821 11.162
F 6.376 0.780 1.691
F 5.764 2.521 8.118
F 5.581 1.619 12.113
F 6.192 1.682 5.687
F 7.533 3.686 6.600
F 8.144 6.216 0.173
F 10.107 0.258 11.696
F 10.718 3.043 5.269
F 11.171 4.639 7.299
F 11.783 5.262 0.872
F 12.063 1.262 1.141
F 11.452 2.038 7.568
CELL_PARAMETERS angstrom
12.735 0.000 0.000
0.000 6.601 0.000
-1.223 0.000 12.853
! Energy relative to the elements, eV per atom: -1.69
! Total energy after the MP2020 corrections, eV/atom: -5.20
! Raw total energy, eV/atom: -4.978

[2]
! PBE-GGA RbDy2CuSe4, optimized geometry; values from VASP
&SYSTEM
  ibrav = 0, nat = 16, ntyp = 4
/
ATOMIC_SPECIES
Rb 85.47 Rb.upf
Dy 162.50 Dy.upf
Cu 63.55 Cu.upf
Se 78.96 Se.upf
ATOMIC_POSITIONS angstrom
Rb 2.070 5.583 10.827
Rb 2.070 -5.583 3.609
Dy 2.070 1.919 8.140
Dy 2.070 1.919 13.514
Dy 2.070 -1.919 0.922
Dy 2.070 -1.919 6.296
Cu 2.070 4.825 3.609
Cu 2.070 -4.825 10.827
Se 0.000 0.000 0.000
Se 0.000 0.000 7.218
Se 2.070 3.414 1.574
Se 2.070 3.414 5.644
Se 2.070 1.010 10.827
Se 2.070 -1.010 3.609
Se 2.070 -3.414 8.792
Se 2.070 -3.414 12.862
CELL_PARAMETERS angstrom
2.070 -7.163 0.000
2.070 7.163 0.000
0.000 0.000 14.436
! Energy relative to the elements, eV per atom: -1.73
! Total energy after the MP2020 corrections, eV/atom: -5.26
! Raw total energy, eV/atom: -5.028

[3]
! PBE-GGA NdGe2Pt, optimized geometry; values from VASP
&SYSTEM
  ibrav = 0, nat = 16, ntyp = 3
/
ATOMIC_SPECIES
Nd 144.24 Nd.upf
Ge 72.64 Ge.upf
Pt 195.08 Pt.upf
ATOMIC_POSITIONS angstrom
Nd 0.000 0.000 3.397
Nd 0.000 2.117 0.000
Nd 0.000 6.765 0.000
Nd 0.000 0.000 13.232
Ge 2.222 0.000 1.244
Ge 2.222 -1.349 5.016
Ge 0.000 0.000 7.068
Ge 2.222 1.349 5.016
Ge 0.000 3.091 3.298
Ge 0.000 0.000 9.560
Ge 0.000 5.790 3.298
Ge 0.000 4.441 7.070
Pt 2.222 2.239 -2.477
Pt 2.222 2.239 2.477
Pt 0.000 2.202 5.837
Pt 0.000 2.202 10.791
CELL_PARAMETERS angstrom
-2.222 4.441 8.314
2.222 -4.441 8.314
2.222 4.441 -8.314
! Energy relative to the elements, eV per atom: -0.90
! Raw total energy, eV/atom: -5.920

[4]
! PBE-GGA Co3Ge2, optimized geometry; values from VASP
&SYSTEM
  ibrav = 0, nat = 5, ntyp = 2
/
ATOMIC_SPECIES
Co 58.93 Co.upf
Ge 72.64 Ge.upf
ATOMIC_POSITIONS angstrom
Co 0.000 0.000 0.000
Co 1.965 1.135 1.258
Co 1.965 1.135 3.614
Ge 0.000 0.000 2.436
Ge 0.000 2.269 0.000
CELL_PARAMETERS angstrom
3.930 0.000 0.000
-1.965 3.404 0.000
0.000 0.000 4.872
! Energy relative to the elements, eV per atom: -0.11
! Raw total energy, eV/atom: -6.227

[5]
! PBE-GGA CaPbI4, optimized geometry; values from VASP
&SYSTEM
  ibrav = 0, nat = 24, ntyp = 3
/
ATOMIC_SPECIES
Ca 40.08 Ca.upf
Pb 207.20 Pb.upf
I 126.90 I.upf
ATOMIC_POSITIONS angstrom
Ca 1.502 1.450 6.419
Ca 1.197 2.505 14.579
Ca 7.549 5.406 1.741
Ca 7.244 6.461 9.901
Pb 2.953 0.049 10.244
Pb 3.258 3.906 2.084
Pb 5.488 4.005 14.236
Pb 5.793 7.862 6.076
I 0.753 5.382 3.298
I 0.448 6.485 11.458
I 1.652 1.426 1.045
I 1.347 2.530 9.205
I 2.456 5.155 15.401
I 2.761 6.712 7.241
I 3.628 1.312 13.233
I 3.933 2.644 5.073
I 4.812 5.267 11.247
I 5.117 6.600 3.087
I 5.984 1.199 9.079
I 6.289 2.756 0.919
I 7.398 5.381 7.115
I 7.093 6.485 15.274
I 8.297 1.426 4.862
I 7.992 2.529 13.022
CELL_PARAMETERS angstrom
9.356 0.000 0.000
0.000 7.911 0.000
-0.610 0.000 16.320
! Energy relative to the elements, eV per atom: -1.31
! Total energy after the MP2020 corrections, eV/atom: -3.28
! Raw total energy, eV/atom: -3.025

[6]
! PBE-GGA In3Cu7, optimized geometry; values from VASP
&SYSTEM
  ibrav = 0, nat = 40, ntyp = 2
/
ATOMIC_SPECIES
In 114.82 In.upf
Cu 63.55 Cu.upf
ATOMIC_POSITIONS angstrom
In 0.277 1.602 1.165
In 0.961 4.914 1.287
In 1.659 7.209 3.802
In 2.506 1.520 4.262
In 3.233 4.090 6.553
In 2.864 7.214 0.170
In 5.083 4.798 9.439
In 4.714 7.921 3.057
In 5.441 10.492 5.347
In 6.288 4.803 5.807
In 6.986 7.098 8.322
In 7.670 10.410 8.445
Cu 0.953 2.599 6.102
Cu 0.455 7.838 1.471
Cu 1.164 9.075 6.088
Cu 1.891 6.464 6.349
Cu 1.857 4.506 4.197
Cu 2.635 5.813 8.803
Cu 2.741 8.264 8.027
Cu 2.966 3.120 8.990
Cu 2.557 9.352 1.890
Cu 3.218 10.566 6.996
Cu 2.660 2.989 2.049
Cu 3.611 8.395 5.633
Cu 3.465 5.457 2.404
Cu 3.375 4.586 0.000
Cu 3.973 6.006 4.805
Cu 4.482 6.555 7.205
Cu 4.336 3.617 3.977
Cu 5.287 9.023 7.560
Cu 4.729 1.446 2.614
Cu 5.390 2.659 7.720
Cu 4.981 8.892 0.620
Cu 5.206 3.748 1.583
Cu 5.311 6.199 0.806
Cu 6.090 7.506 5.412
Cu 6.056 5.548 3.261
Cu 6.783 2.936 3.521
Cu 7.492 4.174 8.139
Cu 6.994 9.413 3.507
CELL_PARAMETERS angstrom
6.744 0.000 0.000
0.005 9.173 0.000
1.197 2.839 9.610
! Energy relative to the elements, eV per atom: -0.01
! Raw total energy, eV/atom: -3.701

[7]
! PBE-GGA Na3La2Hf2P5SO24, optimized geometry; values from VASP
&SYSTEM
  ibrav = 0, nat = 111, ntyp = 6
/
ATOMIC_SPECIES
Na 22.99 Na.upf
La 138.91 La.upf
Hf 178.49 Hf.upf
P 30.97 P.upf
S 32.06 S.upf
O 16.00 O.upf
ATOMIC_POSITIONS angstrom
Na 0.000 0.000 0.000
Na 4.544 7.931 11.926
Na 5.839 5.277 13.933
Na 4.585 2.664 3.952
Na 6.313 5.576 21.875
Na 4.617 2.515 15.908
Na 9.260 5.316 19.843
Na 9.253 5.298 7.930
Na 8.012 2.595 9.937
La 4.515 7.879 3.643
La 4.501 7.820 8.341
La 9.255 5.341 11.410
La 9.263 5.212 23.347
La 13.664 7.950 15.615
La 13.694 7.936 20.280
Hf 4.514 2.597 0.466
Hf 4.517 2.535 12.406
Hf 4.556 2.632 7.514
Hf 4.636 2.557 19.453
Hf 9.153 5.308 16.233
Hf 9.138 5.094 4.318
P 1.982 2.538 9.924
P 3.335 4.793 21.845
P 6.043 5.392 17.889
P 3.307 0.358 21.883
P 5.819 4.802 9.983
P 7.842 7.644 13.929
P 6.424 5.148 1.937
P 5.860 0.399 9.905
P 7.144 2.563 21.898
P 7.759 2.935 13.861
P 10.822 7.903 17.898
P 7.719 2.408 5.998
P 10.599 2.886 1.981
P 11.914 5.149 13.943
P 12.267 5.379 5.938
S 10.649 2.475 17.888
S 7.468 7.890 5.947
S 10.390 7.663 2.002
O 3.717 6.311 14.093
O 1.076 1.285 9.925
O 1.286 1.609 16.704
O 3.784 5.968 4.729
O 4.080 6.155 21.846
O 2.950 2.812 1.866
O 2.905 2.639 18.117
O 3.581 3.847 13.815
O 2.884 2.575 8.669
O 3.663 3.964 6.209
O 2.876 2.510 11.209
O 3.755 3.993 20.595
O 3.824 4.060 23.143
O 1.767 0.181 21.870
O 5.197 6.201 9.960
O 5.491 6.348 2.149
O 6.325 7.774 14.141
O 5.366 5.990 16.643
O 2.076 0.175 4.773
O 5.852 6.287 19.135
O 6.635 7.609 7.131
O 3.716 1.159 23.162
O 5.344 4.072 11.283
O 3.782 1.119 20.620
O 5.389 3.994 8.722
O 5.432 3.976 18.145
O 3.782 1.073 6.179
O 3.968 1.026 13.783
O 5.579 3.825 1.845
O 8.022 6.790 12.679
O 7.193 5.354 0.628
O 8.492 6.958 21.860
O 6.179 2.900 13.789
O 8.334 6.698 5.687
O 8.484 6.886 15.151
O 7.579 5.223 17.603
O 7.448 5.025 3.137
O 5.162 0.987 1.904
O 7.362 4.820 9.936
O 5.336 1.111 18.163
O 6.189 2.607 6.219
O 5.384 1.164 8.653
O 6.254 2.601 20.622
O 5.453 1.179 11.201
O 6.249 2.524 23.169
O 7.924 3.899 21.859
O 9.804 7.010 9.850
O 8.119 3.903 15.055
O 9.840 6.934 3.183
O 8.335 3.830 5.675
O 9.956 6.635 17.610
O 10.170 6.899 0.773
O 8.290 3.517 12.549
O 7.114 0.245 16.672
O 7.930 1.488 4.797
O 7.414 0.363 9.917
O 8.059 1.336 21.886
O 8.397 1.859 7.268
O 11.713 7.616 19.117
O 11.848 7.869 2.129
O 8.325 1.530 14.061
O 10.737 5.239 5.639
O 10.035 3.813 17.648
O 10.018 3.506 0.722
O 11.125 5.383 12.668
O 10.222 3.809 3.211
O 10.946 5.044 15.163
O 10.277 3.783 9.887
O 11.030 4.963 21.806
O 12.437 6.278 7.176
O 9.997 1.876 19.066
O 10.024 1.480 2.159
CELL_PARAMETERS angstrom
9.209 0.000 0.000
4.552 8.010 0.000
0.055 0.017 23.871
! Energy relative to the elements, eV per atom: -3.07
! Total energy after the MP2020 corrections, eV/atom: -8.03
! Raw total energy, eV/atom: -7.589

[8]
! PBE-GGA Cs2CuBr3, optimized geometry; values from VASP
&SYSTEM
  ibrav = 0, nat = 24, ntyp = 3
/
ATOMIC_SPECIES
Cs 132.91 Cs.upf
Cu 63.55 Cu.upf
Br 79.90 Br.upf
ATOMIC_POSITIONS angstrom
Cs 0.042 2.634 4.586
Cs 0.133 6.612 8.134
Cs 3.672 3.977 1.398
Cs 3.762 7.955 11.322
Cs 3.847 2.661 8.886
Cs 3.938 9.271 5.338
Cs 7.476 1.318 12.074
Cs 7.567 7.928 2.150
Cu 0.393 5.715 12.630
Cu 3.412 4.873 5.894
Cu 4.197 10.168 0.842
Cu 7.216 0.421 7.578
Br 0.178 2.591 8.335
Br 0.319 9.662 5.757
Br 1.611 5.904 4.642
Br 2.194 4.684 11.378
Br 3.485 0.927 12.493
Br 3.626 7.998 1.599
Br 3.983 2.704 5.137
Br 4.124 6.222 7.715
Br 5.415 9.979 8.830
Br 5.999 0.610 2.094
Br 7.290 4.367 0.979
Br 7.431 7.885 11.874
CELL_PARAMETERS angstrom
7.609 0.000 0.000
0.000 10.589 0.000
0.000 0.000 13.472
! Energy relative to the elements, eV per atom: -1.55
! Total energy after the MP2020 corrections, eV/atom: -3.35
! Raw total energy, eV/atom: -3.081

[9]
! PBE-GGA Rb2Ba8LiSb6O2, optimized geometry; values from VASP
&SYSTEM
  ibrav = 0, nat = 19, ntyp = 5
/
ATOMIC_SPECIES
Rb 85.47 Rb.upf
Ba 137.33 Ba.upf
Li 6.94 Li.upf
Sb 121.76 Sb.upf
O 16.00 O.upf
ATOMIC_POSITIONS angstrom
Rb 0.000 0.000 0.000
Rb 0.012 -0.007 8.202
Ba -1.682 -2.739 5.678
Ba 1.038 6.051 2.453
Ba 3.154 1.390 2.328
Ba 1.739 2.765 5.686
Ba 3.287 -1.459 5.616
Ba 5.541 7.864 2.326
Ba 7.652 3.201 2.440
Ba 6.015 1.448 5.615
Li -0.361 4.548 5.682
Sb -3.432 -1.132 8.135
Sb 0.005 0.005 3.992
Sb -1.304 3.544 7.965
Sb 1.290 -3.592 7.923
Sb 4.360 4.631 3.991
Sb 3.450 1.124 8.137
O -0.309 4.627 3.948
O 4.646 -0.006 3.939
CELL_PARAMETERS angstrom
9.287 0.000 0.000
-0.592 9.269 0.000
-4.338 -4.636 8.203
! Energy relative to the elements, eV per atom: -1.23
! Total energy after the MP2020 corrections, eV/atom: -4.07
! Raw total energy, eV/atom: -3.996